[1]
LiVO2 | GGA+U | relaxed

Output
- Symmetry: Pc
- Formation enthalpy at 0 K: -2.443 eV per atom

```
LiVO2
1.0
-1.476 2.556 0.002
-0.002 0.004 10.097
4.477 2.585 0.000
O Li V
8 4 4
direct
0.001 0.888 0.677
0.500 0.115 0.491
0.501 0.886 0.178
0.501 0.386 0.822
0.000 0.113 0.993
0.000 0.613 0.007
0.500 0.615 0.509
0.001 0.388 0.323
0.499 0.240 0.164
0.499 0.740 0.836
0.999 0.240 0.665
0.999 0.740 0.335
0.000 0.000 0.335
0.500 0.500 0.166
0.000 0.500 0.665
0.500 0.000 0.834
```


[2]
MgAg6Mo10O33 | GGA+U | relaxed

Output
- Energy relative to the lowest polymorph listed for this composition: 0.52 eV per formula unit
- Symmetry: P1
- Formation enthalpy at 0 K: -1.670 eV per atom

```
MgAg6Mo10O33
1.0
-2.720 -5.786 4.479
0.340 3.288 7.637
-11.209 2.465 1.131
O Ag Mg Mo
33 6 1 10
direct
0.612 0.628 0.408
0.074 0.665 0.021
0.577 0.681 0.648
0.180 0.191 0.109
0.145 0.651 0.402
0.725 0.196 0.448
0.734 0.613 0.150
0.273 0.357 0.888
0.980 0.987 0.997
0.885 0.841 0.230
0.476 0.371 0.340
0.114 0.179 0.767
0.970 0.373 0.348
0.435 0.656 0.913
0.781 0.758 0.912
0.206 0.191 0.509
0.541 0.317 0.078
0.908 0.319 0.969
0.003 0.657 0.644
0.291 0.815 0.121
0.333 0.009 0.910
0.646 0.974 0.090
0.802 0.181 0.207
0.976 0.007 0.616
0.447 0.018 0.619
0.289 0.829 0.527
0.840 0.360 0.614
0.035 0.006 0.375
0.800 0.841 0.485
0.559 0.995 0.378
0.415 0.377 0.603
0.687 0.172 0.866
0.195 0.842 0.783
0.353 0.998 0.251
0.403 0.631 0.250
0.255 0.353 0.238
0.533 0.438 0.768
0.891 0.487 0.791
0.647 0.955 0.765
0.739 0.413 0.291
0.157 0.203 0.959
0.048 0.786 0.513
0.253 0.802 0.976
0.551 0.784 0.508
0.189 0.014 0.674
0.827 0.774 0.052
0.946 0.239 0.496
0.451 0.242 0.495
0.727 0.175 0.011
0.820 0.008 0.319
```


Number 1: size of the total moment 0.000 μB per cell, calculated density 3.87 g cm⁻³. Number 2: size of the total moment 2.000 μB per cell, calculated density 5.07 g cm⁻³.